(1)
# PBE with a Hubbard U ZnNi4O6, relaxed
# **Uncorrected energy**: -104.8 eV per cell
data_ZnNi4O6
_chemical_formula_sum 'Zn2 Ni8 O12'
_symmetry_space_group_name_H-M 'P 1'
_symmetry_Int_Tables_number 1
_cell_length_a 5.090
_cell_length_b 5.090
_cell_length_c 14.899
_cell_angle_alpha 90.00
_cell_angle_beta 90.00
_cell_angle_gamma 146.74
loop_
_symmetry_equiv_pos_as_xyz
'x,y,z'
loop_
_atom_site_label
_atom_site_fract_x
_atom_site_fract_y
_atom_site_fract_z
Zn1 0.157 0.843 0.750
Zn2 0.843 0.157 0.250
Ni1 0.096 0.904 0.135
Ni2 0.096 0.904 0.365
Ni3 0.364 0.636 0.045
Ni4 0.364 0.636 0.455
Ni5 0.636 0.364 0.545
Ni6 0.636 0.364 0.955
Ni7 0.904 0.096 0.635
Ni8 0.904 0.096 0.865
O1 0.000 0.000 0.000
O2 0.000 0.000 0.500
O3 0.197 0.803 0.250
O4 0.278 0.722 0.576
O5 0.278 0.722 0.924
O6 0.454 0.546 0.160
O7 0.454 0.546 0.340
O8 0.546 0.454 0.660
O9 0.546 0.454 0.840
O10 0.722 0.278 0.076
O11 0.722 0.278 0.424
O12 0.803 0.197 0.750

***

(2)
# PBE with a Hubbard U ZnNiO3, relaxed
# **Uncorrected energy**: -89.8 eV per cell
data_ZnNiO3
_chemical_formula_sum 'Zn4 Ni4 O12'
_symmetry_space_group_name_H-M 'P 1'
_symmetry_Int_Tables_number 1
_cell_length_a 5.157
_cell_length_b 7.368
_cell_length_c 5.054
_cell_angle_alpha 90.00
_cell_angle_beta 90.00
_cell_angle_gamma 90.00
loop_
_symmetry_equiv_pos_as_xyz
'x,y,z'
loop_
_atom_site_label
_atom_site_fract_x
_atom_site_fract_y
_atom_site_fract_z
Zn1 0.055 0.250 0.009
Zn2 0.445 0.750 0.509
Zn3 0.555 0.250 0.491
Zn4 0.945 0.750 0.991
Ni1 0.000 0.000 0.500
Ni2 0.000 0.500 0.500
Ni3 0.500 0.000 0.000
Ni4 0.500 0.500 0.000
O1 0.068 0.750 0.374
O2 0.189 0.570 0.813
O3 0.189 0.930 0.813
O4 0.311 0.070 0.313
O5 0.311 0.430 0.313
O6 0.432 0.250 0.874
O7 0.568 0.750 0.126
O8 0.689 0.570 0.687
O9 0.689 0.930 0.687
O10 0.811 0.070 0.187
O11 0.811 0.430 0.187
O12 0.932 0.250 0.626

***

(3)
# PBE with a Hubbard U ZnNi4O5, relaxed
# **Energy relative to the lowest polymorph listed for this composition**: 0 meV/atom
# **Uncorrected energy**: -48.4 eV per cell
data_ZnNi4O5
_chemical_formula_sum 'Zn1 Ni4 O5'
_symmetry_space_group_name_H-M 'P 1'
_symmetry_Int_Tables_number 1
_cell_length_a 5.202
_cell_length_b 5.202
_cell_length_c 7.357
_cell_angle_alpha 118.13
_cell_angle_beta 118.13
_cell_angle_gamma 33.56
loop_
_symmetry_equiv_pos_as_xyz
'x,y,z'
loop_
_atom_site_label
_atom_site_fract_x
_atom_site_fract_y
_atom_site_fract_z
Zn1 0.000 0.000 0.000
Ni1 0.200 0.200 0.799
Ni2 0.400 0.400 0.599
Ni3 0.600 0.600 0.401
Ni4 0.800 0.800 0.201
O1 0.000 0.000 0.500
O2 0.201 0.201 0.303
O3 0.398 0.398 0.102
O4 0.602 0.602 0.898
O5 0.799 0.799 0.697

***

(4)
# PBE with a Hubbard U ZnNi4O5, relaxed
# **Energy relative to the lowest polymorph listed for this composition**: 16 meV/atom
# **Uncorrected energy**: -48.3 eV per cell
data_ZnNi4O5
_chemical_formula_sum 'Zn1 Ni4 O5'
_symmetry_space_group_name_H-M 'P 1'
_symmetry_Int_Tables_number 1
_cell_length_a 12.374
_cell_length_b 12.374
_cell_length_c 12.374
_cell_angle_alpha 13.94
_cell_angle_beta 13.94
_cell_angle_gamma 13.94
loop_
_symmetry_equiv_pos_as_xyz
'x,y,z'
loop_
_atom_site_label
_atom_site_fract_x
_atom_site_fract_y
_atom_site_fract_z
Zn1 0.000 0.000 0.000
Ni1 0.200 0.200 0.200
Ni2 0.400 0.400 0.400
Ni3 0.600 0.600 0.600
Ni4 0.800 0.800 0.800
O1 0.100 0.100 0.100
O2 0.299 0.299 0.299
O3 0.500 0.500 0.500
O4 0.701 0.701 0.701
O5 0.900 0.900 0.900

***

(5)
# PBE with a Hubbard U ZnNi4O5, relaxed
# **Energy relative to the lowest polymorph listed for this composition**: 7 meV/atom
# **Uncorrected energy**: -48.4 eV per cell
data_ZnNi4O5
_chemical_formula_sum 'Zn1 Ni4 O5'
_symmetry_space_group_name_H-M 'P 1'
_symmetry_Int_Tables_number 1
_cell_length_a 5.208
_cell_length_b 5.208
_cell_length_c 5.208
_cell_angle_alpha 99.59
_cell_angle_beta 99.59
_cell_angle_gamma 131.82
loop_
_symmetry_equiv_pos_as_xyz
'x,y,z'
loop_
_atom_site_label
_atom_site_fract_x
_atom_site_fract_y
_atom_site_fract_z
Zn1 0.000 0.000 0.000
Ni1 0.200 0.400 0.600
Ni2 0.400 0.800 0.200
Ni3 0.600 0.200 0.800
Ni4 0.800 0.600 0.400
O1 0.102 0.697 0.798
O2 0.303 0.102 0.405
O3 0.500 0.500 0.000
O4 0.697 0.898 0.595
O5 0.898 0.303 0.202

***

(6)
# PBE with a Hubbard U ZnNiO2, relaxed
# **Uncorrected energy**: -74.8 eV per cell
data_ZnNiO2
_chemical_formula_sum 'Zn4 Ni4 O8'
_symmetry_space_group_name_H-M 'P 1'
_symmetry_Int_Tables_number 1
_cell_length_a 3.023
_cell_length_b 8.549
_cell_length_c 6.044
_cell_angle_alpha 90.03
_cell_angle_beta 90.00
_cell_angle_gamma 90.00
loop_
_symmetry_equiv_pos_as_xyz
'x,y,z'
loop_
_atom_site_label
_atom_site_fract_x
_atom_site_fract_y
_atom_site_fract_z
Zn1 0.500 0.750 0.750
Zn2 0.000 0.500 0.000
Zn3 0.000 0.000 0.500
Zn4 0.500 0.250 0.250
Ni1 0.500 0.750 0.250
Ni2 0.000 0.500 0.500
Ni3 0.000 0.000 0.000
Ni4 0.500 0.250 0.750
O1 0.000 0.748 0.496
O2 0.500 0.498 0.746
O3 0.500 0.998 0.246
O4 0.000 0.248 0.996
O5 0.000 0.752 0.004
O6 0.500 0.502 0.254
O7 0.500 0.002 0.754
O8 0.000 0.252 0.504

***

(7)
# PBE with a Hubbard U ZnNiO2, relaxed
# **Uncorrected energy**: -72.1 eV per cell
data_ZnNiO2
_chemical_formula_sum 'Zn4 Ni4 O8'
_symmetry_space_group_name_H-M 'P 1'
_symmetry_Int_Tables_number 1
_cell_length_a 3.005
_cell_length_b 8.007
_cell_length_c 8.027
_cell_angle_alpha 99.52
_cell_angle_beta 100.53
_cell_angle_gamma 100.46
loop_
_symmetry_equiv_pos_as_xyz
'x,y,z'
loop_
_atom_site_label
_atom_site_fract_x
_atom_site_fract_y
_atom_site_fract_z
Zn1 0.041 0.243 0.367
Zn2 0.346 0.895 0.296
Zn3 0.654 0.105 0.704
Zn4 0.959 0.757 0.633
Ni1 0.161 0.819 0.971
Ni2 0.365 0.435 0.739
Ni3 0.635 0.565 0.261
Ni4 0.839 0.181 0.029
O1 0.057 0.407 0.210
O2 0.309 0.240 0.861
O3 0.365 0.087 0.176
O4 0.367 0.742 0.459
O5 0.633 0.258 0.541
O6 0.635 0.913 0.824
O7 0.691 0.760 0.139
O8 0.943 0.593 0.790

***

(8)
# PBE with a Hubbard U Zn3Ni7O10, relaxed
# **Uncorrected energy**: -95.5 eV per cell
data_Zn3Ni7O10
_chemical_formula_sum 'Zn3 Ni7 O10'
_symmetry_space_group_name_H-M 'P 1'
_symmetry_Int_Tables_number 1
_cell_length_a 24.565
_cell_length_b 24.565
_cell_length_c 24.565
_cell_angle_alpha 7.02
_cell_angle_beta 7.02
_cell_angle_gamma 7.02
loop_
_symmetry_equiv_pos_as_xyz
'x,y,z'
loop_
_atom_site_label
_atom_site_fract_x
_atom_site_fract_y
_atom_site_fract_z
Zn1 0.000 0.000 0.000
Zn2 0.100 0.100 0.100
Zn3 0.900 0.900 0.900
Ni1 0.200 0.200 0.200
Ni2 0.300 0.300 0.300
Ni3 0.400 0.400 0.400
Ni4 0.500 0.500 0.500
Ni5 0.600 0.600 0.600
Ni6 0.700 0.700 0.700
Ni7 0.800 0.800 0.800
O1 0.050 0.050 0.050
O2 0.150 0.150 0.150
O3 0.250 0.250 0.250
O4 0.350 0.350 0.350
O5 0.451 0.451 0.451
O6 0.549 0.549 0.549
O7 0.650 0.650 0.650
O8 0.750 0.750 0.750
O9 0.850 0.850 0.850
O10 0.950 0.950 0.950

***

(9)
# PBE with a Hubbard U ZnNi4O5, relaxed
# **Energy relative to the lowest polymorph listed for this composition**: 15 meV/atom
# **Uncorrected energy**: -96.5 eV per cell
data_ZnNi4O5
_chemical_formula_sum 'Zn2 Ni8 O10'
_symmetry_space_group_name_H-M 'P 1'
_symmetry_Int_Tables_number 1
_cell_length_a 6.714
_cell_length_b 6.714
_cell_length_c 9.961
_cell_angle_alpha 101.70
_cell_angle_beta 101.70
_cell_angle_gamma 25.87
loop_
_symmetry_equiv_pos_as_xyz
'x,y,z'
loop_
_atom_site_label
_atom_site_fract_x
_atom_site_fract_y
_atom_site_fract_z
Zn1 0.100 0.100 0.300
Zn2 0.900 0.900 0.700
Ni1 0.000 0.000 0.000
Ni2 0.200 0.200 0.601
Ni3 0.300 0.300 0.901
Ni4 0.400 0.400 0.199
Ni5 0.500 0.500 0.500
Ni6 0.600 0.600 0.801
Ni7 0.700 0.700 0.099
Ni8 0.800 0.800 0.399
O1 0.051 0.051 0.649
O2 0.151 0.151 0.950
O3 0.252 0.252 0.249
O4 0.349 0.349 0.547
O5 0.451 0.451 0.853
O6 0.549 0.549 0.147
O7 0.651 0.651 0.453
O8 0.748 0.748 0.751
O9 0.849 0.849 0.050
O10 0.949 0.949 0.351

***

(10)
# PBE with a Hubbard U ZnNiO2, relaxed
# **Uncorrected energy**: -72.8 eV per cell
data_ZnNiO2
_chemical_formula_sum 'Zn4 Ni4 O8'
_symmetry_space_group_name_H-M 'P 1'
_symmetry_Int_Tables_number 1
_cell_length_a 8.120
_cell_length_b 8.120
_cell_length_c 11.382
_cell_angle_alpha 133.51
_cell_angle_beta 133.51
_cell_angle_gamma 20.87
loop_
_symmetry_equiv_pos_as_xyz
'x,y,z'
loop_
_atom_site_label
_atom_site_fract_x
_atom_site_fract_y
_atom_site_fract_z
Zn1 0.076 0.076 0.395
Zn2 0.326 0.326 0.247
Zn3 0.674 0.674 0.753
Zn4 0.924 0.924 0.605
Ni1 0.177 0.177 0.273
Ni2 0.409 0.409 0.080
Ni3 0.591 0.591 0.920
Ni4 0.823 0.823 0.727
O1 0.091 0.091 0.776
O2 0.156 0.156 0.075
O3 0.192 0.192 0.627
O4 0.410 0.410 0.728
O5 0.590 0.590 0.272
O6 0.808 0.808 0.373
O7 0.844 0.844 0.925
O8 0.909 0.909 0.224

***

(11)
# PBE with a Hubbard U ZnNi4O5, relaxed
# **Energy relative to the lowest polymorph listed for this composition**: 7 meV/atom
# **Uncorrected energy**: -48.4 eV per cell
data_ZnNi4O5
_chemical_formula_sum 'Zn1 Ni4 O5'
_symmetry_space_group_name_H-M 'P 1'
_symmetry_Int_Tables_number 1
_cell_length_a 7.951
_cell_length_b 7.951
_cell_length_c 7.951
_cell_angle_alpha 158.21
_cell_angle_beta 149.03
_cell_angle_gamma 38.19
loop_
_symmetry_equiv_pos_as_xyz
'x,y,z'
loop_
_atom_site_label
_atom_site_fract_x
_atom_site_fract_y
_atom_site_fract_z
Zn1 0.000 0.000 0.000
Ni1 0.201 0.201 0.000
Ni2 0.399 0.399 0.000
Ni3 0.601 0.601 0.000
Ni4 0.799 0.799 0.000
O1 0.102 0.602 0.500
O2 0.300 0.800 0.500
O3 0.500 0.000 0.500
O4 0.700 0.200 0.500
O5 0.898 0.398 0.500

***

(12)
# PBE with a Hubbard U ZnNiO2, relaxed
# **Uncorrected energy**: -71.7 eV per cell
data_ZnNiO2
_chemical_formula_sum 'Zn4 Ni4 O8'
_symmetry_space_group_name_H-M 'P 1'
_symmetry_Int_Tables_number 1
_cell_length_a 2.888
_cell_length_b 8.298
_cell_length_c 8.494
_cell_angle_alpha 82.16
_cell_angle_beta 80.32
_cell_angle_gamma 80.16
loop_
_symmetry_equiv_pos_as_xyz
'x,y,z'
loop_
_atom_site_label
_atom_site_fract_x
_atom_site_fract_y
_atom_site_fract_z
Zn1 0.079 0.128 0.213
Zn2 0.343 0.232 0.571
Zn3 0.657 0.768 0.429
Zn4 0.921 0.872 0.787
Ni1 0.211 0.192 0.883
Ni2 0.370 0.447 0.308
Ni3 0.630 0.553 0.692
Ni4 0.789 0.808 0.117
O1 0.086 0.718 0.617
O2 0.168 0.891 0.283
O3 0.181 0.406 0.732
O4 0.368 0.817 0.948
O5 0.632 0.183 0.052
O6 0.819 0.594 0.268
O7 0.832 0.109 0.717
O8 0.914 0.282 0.383

***

What did we get for ΔE_f? Answer: -1.1490; -1.0320; -1.2908; -1.2751; -1.2838; -1.4212; -1.2509; -1.3227; -1.2754; -1.2937; -1.2840; -1.2250 eV/atom, in the order shown.
What did we get for total magnetization? Answer: 6.00; 0.00; 0.00; 8.00; 0.00; 0.00; 2.00; 14.00; 8.00; 2.00; 0.00; 2.00 μB/f.u., in the order shown.